PuSi2Pd2: optimized geometry, r2SCAN.

```
PuSi2Pd2
1.0
-2.068 2.068 5.033
2.068 -2.068 5.033
2.068 2.068 -5.033
Pd Pu Si
2 1 2
Direct
0.750 0.250 0.500
0.250 0.750 0.500
0.000 0.000 0.000
0.384 0.384 0.000
0.616 0.616 0.000
```

Output
E   -30.811 eV per atom